1.
## Na9Nb2Zn4P9O36 (GGA-PBE)

Data for Na9Nb2Zn4P9O36 after structural relaxation.

For the energy above the most stable polymorph in this dataset, the calculation gives 0.007 eV per atom. Its calculated total energy is -1575.622 eV per cell. The size of the total moment comes out at 0.002 μB/cell.

```
data_Na9Nb2Zn4P9O36
_cell_length_a 15.607
_cell_length_b 26.985
_cell_length_c 8.944
_cell_angle_alpha 89.81
_cell_angle_beta 124.95
_cell_angle_gamma 90.04
_space_group_name_H-M_alt 'P 1'
_space_group_IT_number 1
_space_group_name_Hall 'P 1'
loop_
_atom_site_label
_atom_site_type_symbol
_atom_site_fract_x
_atom_site_fract_y
_atom_site_fract_z
_atom_site_occupancy
Na1 Na 0.496 0.702 0.756 1
Na2 Na 0.686 0.189 0.760 1
Na3 Na 0.501 0.301 0.269 1
Na4 Na 0.323 0.476 0.216 1
Na5 Na 0.760 0.749 0.029 1
Na6 Na 0.497 0.374 0.742 1
Na7 Na 0.751 0.417 0.005 1
Na8 Na 0.753 0.910 0.524 1
Na9 Na 0.187 0.637 0.299 1
Na10 Na 0.748 0.083 0.002 1
Na11 Na 0.498 0.969 0.265 1
Na12 Na 0.248 0.583 0.002 1
Na13 Na 0.694 0.472 0.303 1
Na14 Na 0.823 0.976 0.216 1
Na15 Na 0.251 0.917 0.005 1
Na16 Na 0.998 0.469 0.265 1
Na17 Na 0.996 0.539 0.744 1
Na18 Na 0.260 0.249 0.029 1
Na19 Na 0.997 0.874 0.742 1
Na20 Na 0.806 0.357 0.708 1
Na21 Na 0.806 0.021 0.714 1
Na22 Na 0.992 0.131 0.249 1
Na23 Na 0.262 0.089 0.532 1
Na24 Na 0.001 0.801 0.269 1
Na25 Na 0.996 0.202 0.756 1
Na26 Na 0.253 0.410 0.524 1
Na27 Na 0.757 0.251 0.518 1
Na28 Na 0.257 0.751 0.518 1
Na29 Na 0.194 0.972 0.303 1
Na30 Na 0.762 0.589 0.532 1
Na31 Na 0.186 0.689 0.760 1
Na32 Na 0.492 0.631 0.249 1
Na33 Na 0.306 0.857 0.708 1
Na34 Na 0.496 0.039 0.744 1
Na35 Na 0.306 0.521 0.714 1
Na36 Na 0.687 0.137 0.299 1
O1 O 0.946 0.890 0.439 1
O2 O 0.156 0.473 0.234 1
O3 O 0.928 0.720 0.256 1
O4 O 0.547 0.050 0.070 1
O5 O 0.090 0.621 0.766 1
O6 O 0.541 0.716 0.062 1
O7 O 0.446 0.390 0.439 1
O8 O 0.257 0.273 0.732 1
O9 O 0.923 0.953 0.760 1
O10 O 0.084 0.380 0.244 1
O11 O 0.139 0.120 0.902 1
O12 O 0.341 0.689 0.752 1
O13 O 0.083 0.717 0.242 1
O14 O 0.426 0.116 0.761 1
O15 O 0.425 0.782 0.752 1
O16 O 0.239 0.223 0.256 1
O17 O 0.956 0.777 0.926 1
O18 O 0.956 0.223 0.421 1
O19 O 0.150 0.142 0.247 1
O20 O 0.651 0.308 0.229 1
O21 O 0.965 0.443 0.920 1
O22 O 0.238 0.891 0.252 1
O23 O 0.352 0.386 0.095 1
O24 O 0.345 0.950 0.580 1
O25 O 0.934 0.351 0.574 1
O26 O 0.638 0.279 0.902 1
O27 O 0.740 0.612 0.757 1
O28 O 0.841 0.189 0.752 1
O29 O 0.738 0.391 0.252 1
O30 O 0.078 0.653 0.434 1
O31 O 0.047 0.550 0.070 1
O32 O 0.152 0.542 0.418 1
O33 O 0.929 0.386 0.256 1
O34 O 0.586 0.453 0.761 1
O35 O 0.648 0.692 0.739 1
O36 O 0.841 0.146 0.262 1
O37 O 0.434 0.515 0.570 1
O38 O 0.926 0.616 0.761 1
O39 O 0.346 0.311 0.255 1
O40 O 0.240 0.112 0.757 1
O41 O 0.963 0.115 0.921 1
O42 O 0.573 0.484 0.412 1
O43 O 0.583 0.217 0.242 1
O44 O 0.581 0.785 0.735 1
O45 O 0.446 0.054 0.439 1
O46 O 0.146 0.446 0.911 1
O47 O 0.136 0.216 0.403 1
O48 O 0.046 0.783 0.563 1
O49 O 0.857 0.547 0.094 1
O50 O 0.846 0.811 0.255 1
O51 O 0.148 0.192 0.739 1
O52 O 0.639 0.620 0.902 1
O53 O 0.241 0.777 0.754 1
O54 O 0.343 0.618 0.578 1
O55 O 0.647 0.375 0.416 1
O56 O 0.636 0.716 0.403 1
O57 O 0.259 0.726 0.250 1
O58 O 0.341 0.646 0.262 1
O59 O 0.578 0.551 0.230 1
O60 O 0.751 0.560 0.229 1
O61 O 0.434 0.851 0.574 1
O62 O 0.934 0.320 0.063 1
O63 O 0.147 0.875 0.416 1
O64 O 0.441 0.183 0.579 1
O65 O 0.835 0.479 0.257 1
O66 O 0.042 0.119 0.559 1
O67 O 0.771 0.106 0.771 1
O68 O 0.847 0.854 0.762 1
O69 O 0.347 0.354 0.762 1
O70 O 0.465 0.943 0.920 1
O71 O 0.656 0.357 0.762 1
O72 O 0.946 0.554 0.439 1
O73 O 0.352 0.285 0.581 1
O74 O 0.646 0.946 0.911 1
O75 O 0.852 0.886 0.095 1
O76 O 0.759 0.226 0.250 1
O77 O 0.335 0.979 0.257 1
O78 O 0.155 0.523 0.763 1
O79 O 0.426 0.552 0.256 1
O80 O 0.934 0.015 0.570 1
O81 O 0.546 0.283 0.563 1
O82 O 0.845 0.450 0.580 1
O83 O 0.057 0.024 0.912 1
O84 O 0.842 0.214 0.075 1
O85 O 0.650 0.642 0.247 1
O86 O 0.151 0.808 0.229 1
O87 O 0.429 0.886 0.256 1
O88 O 0.423 0.453 0.760 1
O89 O 0.655 0.023 0.763 1
O90 O 0.063 0.351 0.916 1
O91 O 0.342 0.714 0.075 1
O92 O 0.563 0.851 0.916 1
O93 O 0.138 0.779 0.902 1
O94 O 0.590 0.121 0.766 1
O95 O 0.542 0.619 0.559 1
O96 O 0.944 0.650 0.088 1
O97 O 0.060 0.687 0.923 1
O98 O 0.041 0.216 0.062 1
O99 O 0.044 0.450 0.565 1
O100 O 0.242 0.553 0.249 1
O101 O 0.456 0.723 0.421 1
O102 O 0.156 0.857 0.762 1
O103 O 0.544 0.384 0.067 1
O104 O 0.428 0.220 0.256 1
O105 O 0.742 0.053 0.249 1
O106 O 0.852 0.785 0.581 1
O107 O 0.456 0.277 0.926 1
O108 O 0.544 0.950 0.565 1
O109 O 0.431 0.487 0.068 1
O110 O 0.251 0.060 0.229 1
O111 O 0.557 0.524 0.912 1
O112 O 0.772 0.437 0.768 1
O113 O 0.656 0.973 0.234 1
O114 O 0.253 0.390 0.237 1
O115 O 0.081 0.285 0.735 1
O116 O 0.843 0.118 0.578 1
O117 O 0.584 0.880 0.244 1
O118 O 0.739 0.723 0.256 1
O119 O 0.578 0.153 0.434 1
O120 O 0.926 0.052 0.256 1
O121 O 0.741 0.277 0.754 1
O122 O 0.444 0.150 0.088 1
O123 O 0.925 0.282 0.752 1
O124 O 0.652 0.042 0.418 1
O125 O 0.941 0.683 0.579 1
O126 O 0.560 0.187 0.923 1
O127 O 0.272 0.937 0.768 1
O128 O 0.741 0.945 0.750 1
O129 O 0.044 0.884 0.067 1
O130 O 0.078 0.051 0.230 1
O131 O 0.757 0.773 0.732 1
O132 O 0.241 0.445 0.750 1
O133 O 0.558 0.811 0.407 1
O134 O 0.058 0.311 0.407 1
O135 O 0.851 0.522 0.762 1
O136 O 0.434 0.820 0.063 1
O137 O 0.086 0.953 0.761 1
O138 O 0.357 0.047 0.094 1
O139 O 0.463 0.615 0.921 1
O140 O 0.931 0.987 0.068 1
O141 O 0.351 0.022 0.762 1
O142 O 0.073 0.984 0.412 1
O143 O 0.753 0.890 0.237 1
O144 O 0.271 0.606 0.771 1
Zn1 Zn 0.900 0.916 0.954 1
Zn2 Zn 0.903 0.082 0.452 1
Zn3 Zn 0.400 0.085 0.954 1
Zn4 Zn 0.100 0.921 0.560 1
Zn5 Zn 0.399 0.248 0.445 1
Zn6 Zn 0.403 0.582 0.452 1
Zn7 Zn 0.901 0.252 0.956 1
Zn8 Zn 0.900 0.416 0.445 1
Zn9 Zn 0.600 0.421 0.560 1
Zn10 Zn 0.400 0.916 0.445 1
Zn11 Zn 0.401 0.752 0.956 1
Zn12 Zn 0.089 0.585 0.549 1
Zn13 Zn 0.899 0.748 0.445 1
Zn14 Zn 0.900 0.585 0.954 1
Zn15 Zn 0.589 0.085 0.549 1
Zn16 Zn 0.400 0.416 0.954 1
P1 P 0.855 0.867 0.259 1
P2 P 0.495 0.849 0.237 1
P3 P 0.997 0.318 0.738 1
P4 P 0.354 0.298 0.745 1
P5 P 0.850 0.202 0.249 1
P6 P 0.852 0.465 0.751 1
P7 P 0.148 0.532 0.243 1
P8 P 0.999 0.984 0.743 1
P9 P 0.648 0.032 0.243 1
P10 P 0.644 0.701 0.236 1
P11 P 0.145 0.133 0.734 1
P12 P 0.146 0.466 0.738 1
P13 P 0.646 0.367 0.242 1
P14 P 0.853 0.535 0.255 1
P15 P 0.350 0.632 0.750 1
P16 P 0.995 0.349 0.237 1
P17 P 0.854 0.798 0.745 1
P18 P 0.146 0.867 0.242 1
P19 P 0.998 0.651 0.746 1
P20 P 0.144 0.201 0.236 1
P21 P 0.352 0.965 0.751 1
P22 P 0.145 0.800 0.739 1
P23 P 0.000 0.016 0.244 1
P24 P 0.850 0.132 0.750 1
P25 P 0.355 0.367 0.259 1
P26 P 0.645 0.633 0.734 1
P27 P 0.353 0.035 0.255 1
P28 P 0.646 0.966 0.738 1
P29 P 0.498 0.151 0.746 1
P30 P 0.500 0.516 0.244 1
P31 P 0.000 0.682 0.254 1
P32 P 0.645 0.300 0.739 1
P33 P 0.500 0.182 0.254 1
P34 P 0.499 0.484 0.743 1
P35 P 0.497 0.818 0.738 1
P36 P 0.350 0.702 0.249 1
Nb1 Nb 0.606 0.913 0.059 1
Nb2 Nb 0.106 0.084 0.058 1
Nb3 Nb 0.603 0.249 0.061 1
Nb4 Nb 0.606 0.584 0.058 1
Nb5 Nb 0.608 0.752 0.561 1
Nb6 Nb 0.103 0.749 0.061 1
Nb7 Nb 0.108 0.252 0.561 1
Nb8 Nb 0.106 0.413 0.059 1
```

2.
## Na9Nb7Zn5P18O72 (GGA-PBE)

Data for Na9Nb7Zn5P18O72 after structural relaxation.

Its space group is P1, No. 1. Its calculated total energy is -790.914 eV per cell. The size of the total moment comes out at 0.000 μB/cell.

```
data_Na9Nb7Zn5P18O72
_cell_length_a 8.830
_cell_length_b 8.854
_cell_length_c 22.546
_cell_angle_alpha 90.16
_cell_angle_beta 90.02
_cell_angle_gamma 119.83
_space_group_name_H-M_alt 'P 1'
_space_group_IT_number 1
_space_group_name_Hall 'P 1'
loop_
_atom_site_label
_atom_site_type_symbol
_atom_site_fract_x
_atom_site_fract_y
_atom_site_fract_z
_atom_site_occupancy
Na1 Na 0.000 0.000 0.000 1
Na2 Na 0.001 0.997 0.495 1
Na3 Na 0.022 0.321 0.418 1
Na4 Na 0.332 0.653 0.830 1
Na5 Na 0.342 0.678 0.327 1
Na6 Na 0.355 0.985 0.751 1
Na7 Na 0.663 0.330 0.661 1
Na8 Na 0.667 0.333 0.177 1
Na9 Na 0.964 0.654 0.584 1
Nb1 Nb 0.333 0.667 0.985 1
Nb2 Nb 0.340 0.671 0.485 1
Nb3 Nb 0.663 0.333 0.319 1
Nb4 Nb 0.666 0.333 0.028 1
Nb5 Nb 0.671 0.339 0.816 1
Nb6 Nb 0.998 0.005 0.652 1
Nb7 Nb 0.999 0.000 0.156 1
Zn1 Zn 0.332 0.666 0.191 1
Zn2 Zn 0.333 0.659 0.690 1
Zn3 Zn 0.658 0.326 0.523 1
Zn4 Zn 0.999 0.001 0.860 1
Zn5 Zn 0.999 0.992 0.356 1
P1 P 0.003 0.296 0.260 1
P2 P 0.003 0.714 0.757 1
P3 P 0.042 0.378 0.590 1
P4 P 0.045 0.669 0.091 1
P5 P 0.285 0.293 0.760 1
P6 P 0.291 0.996 0.259 1
P7 P 0.329 0.377 0.091 1
P8 P 0.338 0.962 0.594 1
P9 P 0.374 0.330 0.425 1
P10 P 0.376 0.044 0.922 1
P11 P 0.622 0.664 0.592 1
P12 P 0.623 0.954 0.091 1
P13 P 0.668 0.044 0.424 1
P14 P 0.668 0.624 0.923 1
P15 P 0.705 0.709 0.259 1
P16 P 0.708 0.995 0.760 1
P17 P 0.956 0.332 0.923 1
P18 P 0.956 0.628 0.427 1
O1 O 0.021 0.214 0.317 1
O2 O 0.025 0.833 0.094 1
O3 O 0.030 0.825 0.811 1
O4 O 0.032 0.195 0.597 1
O5 O 0.115 0.630 0.145 1
O6 O 0.125 0.491 0.644 1
O7 O 0.136 0.504 0.930 1
O8 O 0.139 0.631 0.429 1
O9 O 0.156 0.475 0.250 1
O10 O 0.157 0.462 0.533 1
O11 O 0.157 0.684 0.750 1
O12 O 0.157 0.964 0.596 1
O13 O 0.160 0.691 0.034 1
O14 O 0.165 0.193 0.094 1
O15 O 0.184 0.208 0.815 1
O16 O 0.187 0.184 0.417 1
O17 O 0.187 0.979 0.313 1
O18 O 0.197 0.024 0.201 1
O19 O 0.198 0.025 0.922 1
O20 O 0.198 0.169 0.703 1
O21 O 0.305 0.834 0.539 1
O22 O 0.308 0.470 0.034 1
O23 O 0.320 0.476 0.751 1
O24 O 0.321 0.845 0.249 1
O25 O 0.354 0.882 0.651 1
O26 O 0.364 0.506 0.429 1
O27 O 0.368 0.863 0.930 1
O28 O 0.369 0.486 0.145 1
O29 O 0.456 0.309 0.480 1
O30 O 0.470 0.296 0.763 1
O31 O 0.473 0.173 0.262 1
O32 O 0.480 0.158 0.976 1
O33 O 0.489 0.129 0.866 1
O34 O 0.489 0.143 0.585 1
O35 O 0.489 0.348 0.078 1
O36 O 0.491 0.358 0.368 1
O37 O 0.494 0.862 0.430 1
O38 O 0.495 0.631 0.930 1
O39 O 0.514 0.885 0.145 1
O40 O 0.520 0.644 0.647 1
O41 O 0.521 0.851 0.752 1
O42 O 0.523 0.679 0.249 1
O43 O 0.530 0.839 0.034 1
O44 O 0.532 0.691 0.536 1
O45 O 0.637 0.134 0.368 1
O46 O 0.641 0.506 0.868 1
O47 O 0.651 0.142 0.078 1
O48 O 0.663 0.517 0.584 1
O49 O 0.678 0.522 0.978 1
O50 O 0.698 0.172 0.763 1
O51 O 0.700 0.156 0.478 1
O52 O 0.700 0.527 0.262 1
O53 O 0.789 0.815 0.313 1
O54 O 0.791 0.974 0.815 1
O55 O 0.807 0.974 0.094 1
O56 O 0.808 0.840 0.596 1
O57 O 0.824 0.018 0.416 1
O58 O 0.826 0.025 0.703 1
O59 O 0.826 0.301 0.262 1
O60 O 0.828 0.801 0.922 1
O61 O 0.828 0.803 0.202 1
O62 O 0.829 0.529 0.763 1
O63 O 0.844 0.322 0.978 1
O64 O 0.857 0.509 0.078 1
O65 O 0.859 0.351 0.583 1
O66 O 0.860 0.548 0.484 1
O67 O 0.862 0.500 0.372 1
O68 O 0.865 0.359 0.868 1
O69 O 0.971 0.796 0.700 1
O70 O 0.974 0.172 0.922 1
O71 O 0.975 0.169 0.204 1
O72 O 0.987 0.810 0.418 1
```